No. 1
Density functional theory data (PBE with a Hubbard U) for an optimized crystal structure of Ti3Mn2FeP6O24.

Output
space-group type	R3 (146)

The structure in POSCAR format:
```
Ti3Mn2FeP6O24
1.0
-6.593 -4.248 -3.672
0.682 -8.493 -1.548
-4.643 -5.614 4.681
Mn O P Ti Fe
2 24 6 3 1
Cartesian
-0.042 -0.074 -0.002
-5.282 -9.187 -0.270
-7.174 -15.662 -0.035
-4.637 -4.865 -0.566
-9.575 -8.897 -0.115
-7.382 -9.952 -0.772
-5.880 -10.872 1.161
-4.654 -11.619 -3.766
-7.756 -12.382 -1.895
-2.253 -6.213 -1.347
-6.025 -6.417 -3.489
-4.434 -11.942 2.928
-2.805 -11.086 -2.075
-8.176 -7.998 -2.063
-5.490 -7.172 0.713
-3.238 -8.455 0.328
-5.160 -11.213 -1.329
-5.918 -13.492 -0.089
-8.912 -14.605 -2.011
-5.932 -6.666 3.167
-0.977 -9.412 -0.338
-5.549 -9.665 3.294
-4.625 -7.598 -1.723
-2.888 -5.929 1.414
-9.550 -14.319 0.738
-8.217 -12.198 0.867
-5.690 -11.034 2.707
-4.095 -11.803 -2.315
-8.645 -9.216 -1.333
-1.909 -9.105 0.827
-4.818 -7.313 -3.246
-6.460 -6.516 1.747
-3.722 -6.473 -0.190
-6.818 -11.859 -0.348
-9.033 -15.711 -0.461
-1.533 -2.665 -0.078
```

***

No. 2
Density functional theory data (PBE with a Hubbard U) for an optimized crystal structure of MgFe4Cu2O8.

Output
space-group type	P1 (1)

The structure in POSCAR format:
```
MgFe4Cu2O8
1.0
6.596 0.474 -0.531
3.707 5.471 -0.529
3.001 1.732 4.902
O Fe Mg Cu
8 4 1 2
Cartesian
11.740 6.809 3.082
8.359 6.445 3.632
5.114 2.892 1.619
6.403 3.634 3.713
7.105 5.589 1.027
10.402 6.040 0.894
8.422 3.300 1.030
9.626 4.039 3.708
6.020 1.902 2.987
3.647 2.090 0.696
6.543 0.484 -0.493
4.569 4.229 3.058
1.821 1.000 2.224
6.779 3.908 0.056
8.218 4.739 2.410
```

***

No. 3
Density functional theory data (PBE with a Hubbard U) for an optimized crystal structure of V2ZnO6.

Output
space-group type	C2 (5)

The structure in POSCAR format:
```
V2ZnO6
1.0
1.790 4.698 0.000
-1.790 4.698 0.000
0.000 2.409 6.209
V O Zn
2 6 1
Cartesian
-0.087 2.636 2.159
-0.087 9.169 4.050
-0.099 8.309 5.510
-0.088 4.236 3.518
-0.084 0.974 1.729
-0.084 10.831 4.480
-0.099 3.496 0.699
-0.088 7.569 2.692
1.760 4.698 0.000
```

***

No. 4
Density functional theory data (PBE with a Hubbard U) for an optimized crystal structure of LiVPO5.

Output
space-group type	P2_1 (4)

The structure in POSCAR format:
```
LiVPO5
1.0
10.445 0.000 0.000
0.000 8.593 0.000
0.000 0.012 9.308
P O V Li
8 40 8 8
Cartesian
6.764 5.176 5.163
8.956 0.846 4.117
1.542 3.430 4.144
3.733 7.760 5.190
6.532 0.683 0.389
9.103 4.953 8.890
3.881 3.653 0.418
1.310 7.923 8.919
2.631 1.549 6.915
5.215 2.299 6.971
4.251 7.974 6.640
4.446 3.864 1.848
7.979 0.162 0.199
6.605 6.680 4.926
8.274 4.834 5.008
3.860 2.137 0.122
6.309 4.960 6.651
7.473 0.429 4.212
10.120 4.176 0.515
5.353 6.468 2.505
3.827 6.246 4.920
1.383 1.926 4.382
0.608 4.282 5.056
9.473 0.631 2.668
5.974 0.461 1.821
9.810 0.031 5.143
4.588 8.574 4.165
2.251 8.177 5.096
5.516 8.536 8.765
1.329 6.425 9.234
6.551 2.181 0.074
7.938 2.761 6.902
0.131 2.137 6.803
3.052 3.771 4.300
7.664 4.448 9.091
2.716 5.844 2.406
9.668 4.742 7.460
0.752 8.144 7.487
0.293 0.069 0.543
2.757 8.443 9.109
5.831 4.324 4.252
2.441 4.158 0.217
7.854 7.057 2.393
10.437 6.307 2.337
9.049 2.359 4.388
9.082 6.469 9.186
4.898 4.429 8.793
1.087 3.645 2.657
6.257 7.780 3.340
4.069 5.220 3.293
1.121 5.249 1.509
6.343 3.356 7.799
9.291 3.386 6.015
1.035 0.825 5.968
3.941 0.996 7.865
9.163 7.609 1.443
4.103 8.273 1.303
9.325 0.332 8.005
4.718 2.711 5.009
9.940 5.894 4.299
6.291 4.653 1.255
5.234 6.466 7.546
1.069 3.953 8.053
0.012 2.139 1.761
```

***

Which E_tot belongs to each record? In order, -7.819 -5.932 -6.815 -7.111 eV/atom.